First-principles (r²SCAN) data for crystalline K2Mn2P2O7F2 at its relaxed geometry, as listed in the Materials Project.

The structure belongs to space group Pbcn (No. 60); the cell edges are 6.885, 11.263 and 10.597 Å and the angles 90.00°, 90.00° and 90.00°. The asymmetric unit holds K at (0.001, 0.173, 0.064), Mn at (0.000, 0.335, 0.750), Mn at (0.000, 0.500, 0.000), P at (0.216, 0.079, 0.751), O at (0.000, 0.020, 0.750), O at (0.173, 0.487, 0.673), O at (0.201, 0.199, 0.687), O at (0.223, 0.414, 0.388) and F at (0.122, 0.344, 0.928).

The value obtained for the energy of formation from the pure elements is -2.59 eV per atom. Its crystal system is orthorhombic. As for the calculated total energy: -9.7566 eV per atom.

First-principles (r²SCAN) data for crystalline KNaThF6 at its relaxed geometry, as listed in the Materials Project.

The structure belongs to space group P-3 (No. 147); the cell edges are 6.2719, 6.2719 and 7.8593 Å and the angles 90.00°, 90.00° and 120.00°. The asymmetric unit holds K at (0.3333, 0.6667, 0.1084), Na at (0.0000, 0.0000, 0.2662), Th at (0.3333, 0.6667, 0.6236), F at (0.0777, 0.3872, 0.4012) and F at (0.1044, 0.3803, 0.8252).

The value obtained for the energy of formation from the pure elements is -3.86 eV per atom. Its crystal system is trigonal. As for the calculated total energy: -15.1748 eV per atom.

First-principles (r²SCAN) data for crystalline KNb4O5F at its relaxed geometry, as listed in the Materials Project.

The structure belongs to space group P4/mmm (No. 123); the cell edges are 4.195, 4.195 and 8.425 Å and the angles 90.00°, 90.00° and 90.00°. The asymmetric unit holds K at (0.000, 0.000, 0.000), Nb at (0.000, 0.500, 0.500), Nb at (0.500, 0.500, 0.262), O at (0.000, 0.000, 0.500), O at (0.000, 0.500, 0.249) and F at (0.500, 0.500, 0.000).

The value obtained for the energy of formation from the pure elements is -2.46 eV per atom. Its crystal system is tetragonal. As for the calculated total energy: -14.9986 eV per atom.

First-principles (r²SCAN) data for crystalline K5Nb4O12F at its relaxed geometry, as listed in the Materials Project.

The structure belongs to space group P2_1/c (No. 14); the cell edges are 5.131, 11.894 and 12.738 Å and the angles 90.00°, 110.62° and 90.00°. The asymmetric unit holds K at (0.000, 0.000, 0.000), K at (0.272, 0.144, 0.830), K at (0.411, 0.669, 0.351), Nb at (0.066, 0.644, 0.024), Nb at (0.329, 0.013, 0.354), O at (0.000, 0.102, 0.329), O at (0.081, 0.217, 0.998), O at (0.151, 0.629, 0.883), O at (0.282, 0.041, 0.538), O at (0.322, 0.522, 0.716), O at (0.452, 0.663, 0.120) and F at (0.500, 0.000, 0.000).

The value obtained for the energy of formation from the pure elements is -2.67 eV per atom. Its crystal system is monoclinic. As for the calculated total energy: -11.9387 eV per atom.

First-principles (r²SCAN) data for crystalline K2NdF5 at its relaxed geometry, as listed in the Materials Project.

The structure belongs to space group Pnma (No. 62); the cell edges are 10.758, 7.500 and 6.621 Å and the angles 90.00°, 90.00° and 90.00°. The asymmetric unit holds K at (0.172, 0.003, 0.029), Nd at (0.004, 0.250, 0.569), F at (0.010, 0.250, 0.913), F at (0.084, 0.534, 0.648), F at (0.172, 0.250, 0.356) and F at (0.202, 0.750, 0.325).

The value obtained for the energy of formation from the pure elements is -3.70 eV per atom. Its crystal system is orthorhombic. As for the calculated total energy: -10.8380 eV per atom.

First-principles (r²SCAN) data for crystalline K2NiF6 at its relaxed geometry, as listed in the Materials Project.

The structure belongs to space group Fm-3m (No. 225); the cell edges are 8.003, 8.003 and 8.003 Å and the angles 90.00°, 90.00° and 90.00°. The asymmetric unit holds K at (0.250, 0.250, 0.250), Ni at (0.000, 0.000, 0.000) and F at (0.000, 0.000, 0.223).

The value obtained for the energy of formation from the pure elements is -2.46 eV per atom. Its crystal system is cubic. As for the calculated total energy: -7.2154 eV per atom.

First-principles (r²SCAN) data for crystalline KNiF3 at its relaxed geometry, as listed in the Materials Project.

The structure belongs to space group Pm-3m (No. 221); the cell edges are 4.008, 4.008 and 4.008 Å and the angles 90.00°, 90.00° and 90.00°. The asymmetric unit holds K at (0.000, 0.000, 0.000), Ni at (0.500, 0.500, 0.500) and F at (0.000, 0.500, 0.500).

The value obtained for the energy of formation from the pure elements is -2.61 eV per atom. Its crystal system is cubic. As for the calculated total energy: -8.0810 eV per atom.

First-principles (r²SCAN) data for crystalline K3Ni2F7 at its relaxed geometry, as listed in the Materials Project.

The structure belongs to space group I4/mmm (No. 139); the cell edges are 4.003, 4.003 and 21.014 Å and the angles 90.00°, 90.00° and 90.00°. The asymmetric unit holds K at (0.000, 0.000, 0.000), K at (0.000, 0.000, 0.185), Ni at (0.000, 0.000, 0.404), F at (0.000, 0.000, 0.310), F at (0.000, 0.000, 0.500) and F at (0.000, 0.500, 0.095).

The value obtained for the energy of formation from the pure elements is -2.67 eV per atom. Its crystal system is tetragonal. As for the calculated total energy: -7.9956 eV per atom.